[1]
# PrSi

PrSi after structural relaxation (r2SCAN, the Materials Project).

Geometry as POSCAR:
```
PrSi
1.0
-3.8502 0.9282 0.1074
-0.9430 -3.3471 -4.8777
-1.4676 -6.6485 4.8460
Si Pr
4 4
Direct
0.7500 0.1190 0.4655 Si
0.7500 0.3810 0.9655 Si
0.2500 0.8810 0.5345 Si
0.2500 0.6190 0.0345 Si
0.2500 0.3866 0.6792 Pr
0.2500 0.1134 0.1792 Pr
0.7500 0.6134 0.3208 Pr
0.7500 0.8866 0.8208 Pr
```

Summary:
Total moment (μB/f.u.): 0.00
Energy of formation from the pure elements (meV/atom): -797

=====

[2]
# NdSiNi

NdSiNi after structural relaxation (r2SCAN, the Materials Project).

Geometry as POSCAR:
```
NdSiNi
1.0
-2.0543 2.0543 6.9033
2.0543 -2.0543 6.9033
2.0543 2.0543 -6.9033
Ni Nd Si
2 2 2
Direct
0.9185 0.4185 0.5000 Ni
0.1685 0.1685 0.0000 Ni
0.3296 0.8296 0.5000 Nd
0.5796 0.5796 0.0000 Nd
0.7490 0.2490 0.5000 Si
0.9990 0.9990 0.0000 Si
```

Summary:
Total moment (μB/f.u.): 0.00
Energy of formation from the pure elements (meV/atom): -755